# GGA-PBE TeWS, optimized geometry
data_TeWS
_cell_length_a 3.3576
_cell_length_b 3.3576
_cell_length_c 39.3959
_cell_angle_alpha 90.00
_cell_angle_beta 90.00
_cell_angle_gamma 120.00
_symmetry_space_group_name_H-M 'P -3 m 1'
_symmetry_Int_Tables_number 164
_symmetry_space_group_name_Hall '-P 3 2"'
loop_
_atom_site_label
_atom_site_fract_x
_atom_site_fract_y
_atom_site_fract_z
_atom_site_occupancy
Te1 0.3333 0.6667 0.3568 1
Te2 0.3333 0.6667 0.4533 1
W1 0.3333 0.6667 0.2181 1
W2 0.3333 0.6667 0.5950 1
S1 0.3333 0.6667 0.7434 1
S2 0.3333 0.6667 0.8204 1
# DFT total energy ... -85.35 eV for the cell shown
# Crystal system ... trigonal
# ΔE_f ... -0.534 eV per atom

# GGA-PBE TeWS, optimized geometry
data_TeWS
_cell_length_a 3.3607
_cell_length_b 3.3607
_cell_length_c 38.3903
_cell_angle_alpha 90.00
_cell_angle_beta 90.00
_cell_angle_gamma 120.00
_symmetry_space_group_name_H-M 'P 3 m 1'
_symmetry_Int_Tables_number 156
_symmetry_space_group_name_Hall 'P 3 -2"'
loop_
_atom_site_label
_atom_site_fract_x
_atom_site_fract_y
_atom_site_fract_z
_atom_site_occupancy
Te1 0.0000 0.0000 0.0000 1
Te2 0.0000 0.0000 0.0991 1
Te3 0.0000 0.0000 0.3758 1
Te4 0.0000 0.0000 0.4748 1
W1 0.0000 0.0000 0.2374 1
W2 0.0000 0.0000 0.8617 1
W3 0.3333 0.6667 0.0496 1
W4 0.3333 0.6667 0.4253 1
S1 0.3333 0.6667 0.1979 1
S2 0.3333 0.6667 0.2769 1
S3 0.3333 0.6667 0.8221 1
S4 0.3333 0.6667 0.9012 1
# DFT total energy ... -85.35 eV for the cell shown
# Crystal system ... trigonal
# ΔE_f ... -0.534 eV per atom

# GGA-PBE Te2W3S4, optimized geometry
data_Te2W3S4
_cell_length_a 3.3007
_cell_length_b 3.3007
_cell_length_c 30.5699
_cell_angle_alpha 90.00
_cell_angle_beta 90.00
_cell_angle_gamma 120.00
_symmetry_space_group_name_H-M 'P 3 m 1'
_symmetry_Int_Tables_number 156
_symmetry_space_group_name_Hall 'P 3 -2"'
loop_
_atom_site_label
_atom_site_fract_x
_atom_site_fract_y
_atom_site_fract_z
_atom_site_occupancy
Te1 0.0000 0.0000 0.0000 1
Te2 0.0000 0.0000 0.1261 1
W1 0.0000 0.0000 0.8316 1
W2 0.6667 0.3333 0.0631 1
W3 0.6667 0.3333 0.6004 1
S1 0.0000 0.0000 0.5501 1
S2 0.0000 0.0000 0.6506 1
S3 0.6667 0.3333 0.7814 1
S4 0.6667 0.3333 0.8819 1
# DFT total energy ... -66.20 eV for the cell shown
# Crystal system ... trigonal
# ΔE_f ... -0.722 eV per atom

# GGA-PBE TeWS, optimized geometry
data_TeWS
_cell_length_a 3.3603
_cell_length_b 3.3603
_cell_length_c 38.3683
_cell_angle_alpha 90.00
_cell_angle_beta 90.00
_cell_angle_gamma 120.00
_symmetry_space_group_name_H-M 'P -3 m 1'
_symmetry_Int_Tables_number 164
_symmetry_space_group_name_Hall '-P 3 2"'
loop_
_atom_site_label
_atom_site_fract_x
_atom_site_fract_y
_atom_site_fract_z
_atom_site_occupancy
Te1 0.3333 0.6667 0.2323 1
Te2 0.3333 0.6667 0.3314 1
W1 0.3333 0.6667 0.0939 1
W2 0.3333 0.6667 0.7182 1
S1 0.3333 0.6667 0.8665 1
S2 0.3333 0.6667 0.9456 1
# DFT total energy ... -85.35 eV for the cell shown
# Crystal system ... trigonal
# ΔE_f ... -0.534 eV per atom

- ΔE_f of number 2 (TeWS)?
  -0.534 eV per atom

- DFT total energy of number 3 (Te2W3S4)?
  -66.20 eV for the cell shown

- The lowest ΔE_f belongs to which entry?
  Te2W3S4

- What is the formula in the second record?
  TeWS